Record 1
First-principles (GGA-PBE) data for SrH16O10 after structural relaxation, as listed in the Materials Project database.

Lattice parameters (Å, degrees): 9.708 8.752 11.410 90.00 95.51 90.00
Space group Cc (No. 9)
One atom of each set of equivalent atoms:
Sr (0.000, 0.012, 0.000) [4 per cell]
H (0.061, 0.329, 0.895) [4 per cell]
H (0.067, 0.333, 0.604) [4 per cell]
H (0.099, 0.224, 0.792) [4 per cell]
H (0.149, 0.153, 0.357) [4 per cell]
H (0.182, 0.195, 0.631) [4 per cell]
H (0.193, 0.434, 0.084) [4 per cell]
H (0.207, 0.459, 0.370) [4 per cell]
H (0.238, 0.093, 0.214) [4 per cell]
H (0.268, 0.167, 0.094) [4 per cell]
H (0.278, 0.286, 0.357) [4 per cell]
H (0.301, 0.410, 0.196) [4 per cell]
H (0.328, 0.277, 0.593) [4 per cell]
H (0.379, 0.050, 0.428) [4 per cell]
H (0.435, 0.277, 0.781) [4 per cell]
H (0.456, 0.151, 0.606) [4 per cell]
H (0.464, 0.174, 0.895) [4 per cell]
O (0.025, 0.492, 0.067) [4 per cell]
O (0.084, 0.222, 0.632) [4 per cell]
O (0.101, 0.229, 0.879) [4 per cell]
O (0.224, 0.076, 0.126) [4 per cell]
O (0.249, 0.136, 0.356) [4 per cell]
O (0.294, 0.409, 0.108) [4 per cell]
O (0.295, 0.413, 0.355) [4 per cell]
O (0.421, 0.261, 0.629) [4 per cell]
O (0.464, 0.281, 0.867) [4 per cell]
O (0.479, 0.009, 0.439) [4 per cell]

**Energy relative to the lowest polymorph listed for this composition**: 62 meV per atom

Record 2
First-principles (GGA-PBE) data for SrH16O10 after structural relaxation, as listed in the Materials Project database.

Lattice parameters (Å, degrees): 6.131 6.408 11.551 87.93 89.66 90.00
Space group P1 (No. 1)
One atom of each set of equivalent atoms:
Sr (0.000, 0.000, 0.000) [1 per cell]
Sr (0.009, 0.001, 0.503) [1 per cell]
H (0.029, 0.598, 0.362) [1 per cell]
H (0.037, 0.400, 0.067) [1 per cell]
H (0.044, 0.552, 0.633) [1 per cell]
H (0.120, 0.318, 0.795) [1 per cell]
H (0.277, 0.625, 0.388) [1 per cell]
H (0.278, 0.388, 0.108) [1 per cell]
H (0.280, 0.394, 0.896) [1 per cell]
H (0.289, 0.608, 0.602) [1 per cell]
H (0.299, 0.880, 0.211) [1 per cell]
H (0.312, 0.889, 0.791) [1 per cell]
H (0.361, 0.278, 0.377) [1 per cell]
H (0.393, 0.271, 0.603) [1 per cell]
H (0.396, 0.731, 0.112) [1 per cell]
H (0.399, 0.729, 0.893) [1 per cell]
H (0.446, 0.049, 0.378) [1 per cell]
H (0.464, 0.037, 0.630) [1 per cell]
H (0.560, 0.041, 0.123) [1 per cell]
H (0.568, 0.050, 0.870) [1 per cell]
H (0.607, 0.728, 0.391) [1 per cell]
H (0.619, 0.279, 0.108) [1 per cell]
H (0.619, 0.718, 0.596) [1 per cell]
H (0.622, 0.284, 0.896) [1 per cell]
H (0.705, 0.899, 0.296) [1 per cell]
H (0.727, 0.391, 0.385) [1 per cell]
H (0.729, 0.390, 0.594) [1 per cell]
H (0.729, 0.622, 0.891) [1 per cell]
H (0.730, 0.612, 0.109) [1 per cell]
H (0.735, 0.808, 0.709) [1 per cell]
H (0.795, 0.255, 0.707) [1 per cell]
H (0.906, 0.302, 0.294) [1 per cell]
H (0.970, 0.611, 0.168) [1 per cell]
H (0.972, 0.615, 0.844) [1 per cell]
O (0.127, 0.327, 0.126) [1 per cell]
O (0.129, 0.336, 0.879) [1 per cell]
O (0.142, 0.707, 0.363) [1 per cell]
O (0.149, 0.668, 0.634) [1 per cell]
O (0.312, 0.134, 0.365) [1 per cell]
O (0.335, 0.131, 0.631) [1 per cell]
O (0.336, 0.875, 0.128) [1 per cell]
O (0.339, 0.876, 0.875) [1 per cell]
O (0.503, 0.508, 0.068) [1 per cell]
O (0.504, 0.508, 0.938) [1 per cell]
O (0.508, 0.514, 0.422) [1 per cell]
O (0.517, 0.506, 0.551) [1 per cell]
O (0.669, 0.879, 0.379) [1 per cell]
O (0.679, 0.851, 0.632) [1 per cell]
O (0.686, 0.138, 0.128) [1 per cell]
O (0.689, 0.153, 0.865) [1 per cell]
O (0.852, 0.713, 0.858) [1 per cell]
O (0.858, 0.313, 0.634) [1 per cell]
O (0.858, 0.702, 0.133) [1 per cell]
O (0.882, 0.334, 0.376) [1 per cell]

**Energy relative to the lowest polymorph listed for this composition**: 38 meV per atom

Record 3
First-principles (GGA-PBE) data for SrH16O10 after structural relaxation, as listed in the Materials Project database.

Lattice parameters (Å, degrees): 6.341 6.343 11.162 90.00 90.11 90.00
Space group Pc (No. 7)
One atom of each set of equivalent atoms:
Sr (0.000, 0.006, 0.000) [2 per cell]
H (0.039, 0.453, 0.874) [2 per cell]
H (0.141, 0.312, 0.714) [2 per cell]
H (0.277, 0.393, 0.602) [2 per cell]
H (0.279, 0.390, 0.893) [2 per cell]
H (0.315, 0.142, 0.284) [2 per cell]
H (0.387, 0.263, 0.402) [2 per cell]
H (0.391, 0.278, 0.102) [2 per cell]
H (0.449, 0.035, 0.121) [2 per cell]
H (0.550, 0.039, 0.874) [2 per cell]
H (0.609, 0.277, 0.603) [2 per cell]
H (0.612, 0.280, 0.893) [2 per cell]
H (0.688, 0.140, 0.714) [2 per cell]
H (0.722, 0.390, 0.103) [2 per cell]
H (0.736, 0.386, 0.402) [2 per cell]
H (0.857, 0.314, 0.284) [2 per cell]
H (0.965, 0.451, 0.121) [2 per cell]
O (0.134, 0.330, 0.624) [2 per cell]
O (0.137, 0.329, 0.868) [2 per cell]
O (0.328, 0.137, 0.129) [2 per cell]
O (0.331, 0.123, 0.373) [2 per cell]
O (0.500, 0.495, 0.068) [2 per cell]
O (0.503, 0.497, 0.433) [2 per cell]
O (0.670, 0.133, 0.624) [2 per cell]
O (0.673, 0.138, 0.867) [2 per cell]
O (0.865, 0.329, 0.128) [2 per cell]
O (0.875, 0.327, 0.373) [2 per cell]

**Energy relative to the lowest polymorph listed for this composition**: 1 meV per atom

Record 4
First-principles (GGA-PBE) data for SrH4O6 after structural relaxation, as listed in the Materials Project database.

Lattice parameters (Å, degrees): 7.927 9.101 6.117 90.00 93.00 90.00
Space group Cc (No. 9)
One atom of each set of equivalent atoms:
Sr (0.000, 0.191, 0.000) [4 per cell]
H (0.166, 0.157, 0.502) [4 per cell]
H (0.240, 0.426, 0.704) [4 per cell]
H (0.315, 0.313, 0.025) [4 per cell]
H (0.350, 0.050, 0.841) [4 per cell]
O (0.161, 0.079, 0.376) [4 per cell]
O (0.185, 0.268, 0.687) [4 per cell]
O (0.261, 0.350, 0.172) [4 per cell]
O (0.334, 0.220, 0.833) [4 per cell]
O (0.335, 0.493, 0.229) [4 per cell]
O (0.343, 0.063, 0.342) [4 per cell]

**Energy relative to the lowest polymorph listed for this composition**: 379 meV per atom

Record 5
First-principles (GGA-PBE) data for SrH18O10 after structural relaxation, as listed in the Materials Project database.

Lattice parameters (Å, degrees): 9.023 9.023 11.525 90.00 90.00 90.00
Space group P4/ncc (No. 130, origin choice 2)
One atom of each set of equivalent atoms:
Sr (0.250, 0.750, 0.250) [4 per cell]
H (0.012, 0.542, 0.128) [16 per cell]
H (0.038, 0.657, 0.964) [16 per cell]
H (0.077, 0.194, 0.380) [16 per cell]
H (0.079, 0.191, 0.636) [16 per cell]
H (0.250, 0.250, 0.241) [4 per cell]
H (0.250, 0.250, 0.485) [4 per cell]
O (0.024, 0.649, 0.878) [16 per cell]
O (0.028, 0.651, 0.120) [16 per cell]
O (0.250, 0.250, 0.156) [4 per cell]
O (0.250, 0.250, 0.400) [4 per cell]

**Total energy**: -5.06 eV per atom

Record 6
First-principles (GGA-PBE) data for SrH16O10 after structural relaxation, as listed in the Materials Project database.

Lattice parameters (Å, degrees): 6.298 6.360 7.014 89.83 89.18 89.21
Space group P1 (No. 1)
One atom of each set of equivalent atoms:
Sr (0.000, 0.000, 0.000) [1 per cell]
H (0.110, 0.278, 0.696) [1 per cell]
H (0.113, 0.287, 0.282) [1 per cell]
H (0.291, 0.901, 0.702) [1 per cell]
H (0.299, 0.899, 0.280) [1 per cell]
H (0.330, 0.330, 0.801) [1 per cell]
H (0.336, 0.330, 0.174) [1 per cell]
H (0.343, 0.677, 0.801) [1 per cell]
H (0.347, 0.676, 0.179) [1 per cell]
H (0.673, 0.319, 0.798) [1 per cell]
H (0.678, 0.334, 0.190) [1 per cell]
H (0.688, 0.664, 0.800) [1 per cell]
H (0.689, 0.659, 0.185) [1 per cell]
H (0.722, 0.090, 0.702) [1 per cell]
H (0.733, 0.145, 0.334) [1 per cell]
H (0.909, 0.703, 0.289) [1 per cell]
H (0.912, 0.723, 0.699) [1 per cell]
O (0.225, 0.775, 0.755) [1 per cell]
O (0.231, 0.775, 0.228) [1 per cell]
O (0.235, 0.214, 0.755) [1 per cell]
O (0.238, 0.216, 0.225) [1 per cell]
O (0.510, 0.494, 0.096) [1 per cell]
O (0.511, 0.495, 0.882) [1 per cell]
O (0.780, 0.784, 0.753) [1 per cell]
O (0.785, 0.772, 0.234) [1 per cell]
O (0.789, 0.220, 0.746) [1 per cell]
O (0.798, 0.243, 0.245) [1 per cell]

**Energy relative to the lowest polymorph listed for this composition**: 58 meV per atom

Record 7
First-principles (GGA-PBE) data for SrH16O10 after structural relaxation, as listed in the Materials Project database.

Lattice parameters (Å, degrees): 6.339 6.379 11.410 88.11 88.76 87.84
Space group P1 (No. 1)
One atom of each set of equivalent atoms:
Sr (0.000, 0.000, 0.000) [1 per cell]
Sr (0.027, 0.010, 0.507) [1 per cell]
H (0.034, 0.544, 0.626) [1 per cell]
H (0.134, 0.317, 0.798) [1 per cell]
H (0.182, 0.733, 0.276) [1 per cell]
H (0.200, 0.257, 0.210) [1 per cell]
H (0.233, 0.617, 0.398) [1 per cell]
H (0.273, 0.600, 0.627) [1 per cell]
H (0.277, 0.376, 0.094) [1 per cell]
H (0.299, 0.384, 0.891) [1 per cell]
H (0.312, 0.914, 0.788) [1 per cell]
H (0.374, 0.276, 0.385) [1 per cell]
H (0.377, 0.720, 0.877) [1 per cell]
H (0.385, 0.702, 0.096) [1 per cell]
H (0.395, 0.219, 0.621) [1 per cell]
H (0.427, 0.932, 0.137) [1 per cell]
H (0.432, 0.052, 0.337) [1 per cell]
H (0.475, 0.983, 0.607) [1 per cell]
H (0.541, 0.649, 0.473) [1 per cell]
H (0.603, 0.275, 0.089) [1 per cell]
H (0.642, 0.307, 0.874) [1 per cell]
H (0.649, 0.072, 0.820) [1 per cell]
H (0.669, 0.861, 0.428) [1 per cell]
H (0.690, 0.742, 0.616) [1 per cell]
H (0.709, 0.158, 0.200) [1 per cell]
H (0.715, 0.642, 0.878) [1 per cell]
H (0.716, 0.800, 0.288) [1 per cell]
H (0.722, 0.381, 0.394) [1 per cell]
H (0.724, 0.603, 0.094) [1 per cell]
H (0.734, 0.374, 0.609) [1 per cell]
H (0.845, 0.264, 0.715) [1 per cell]
H (0.940, 0.443, 0.342) [1 per cell]
H (0.945, 0.670, 0.819) [1 per cell]
H (0.955, 0.544, 0.135) [1 per cell]
O (0.118, 0.690, 0.353) [1 per cell]
O (0.126, 0.667, 0.626) [1 per cell]
O (0.149, 0.310, 0.133) [1 per cell]
O (0.156, 0.317, 0.881) [1 per cell]
O (0.294, 0.857, 0.868) [1 per cell]
O (0.309, 0.154, 0.352) [1 per cell]
O (0.314, 0.829, 0.136) [1 per cell]
O (0.346, 0.071, 0.635) [1 per cell]
O (0.486, 0.505, 0.467) [1 per cell]
O (0.494, 0.447, 0.595) [1 per cell]
O (0.502, 0.492, 0.047) [1 per cell]
O (0.513, 0.496, 0.916) [1 per cell]
O (0.651, 0.903, 0.340) [1 per cell]
O (0.665, 0.133, 0.120) [1 per cell]
O (0.676, 0.857, 0.558) [1 per cell]
O (0.739, 0.185, 0.842) [1 per cell]
O (0.823, 0.748, 0.853) [1 per cell]
O (0.852, 0.665, 0.129) [1 per cell]
O (0.855, 0.320, 0.361) [1 per cell]
O (0.882, 0.318, 0.633) [1 per cell]

**Energy relative to the lowest polymorph listed for this composition**: 46 meV per atom